1.
First-principles (r2SCAN) data for Cs3BiSe3 after structural relaxation, as listed in the Materials Project.

a = 10.7308 Å, b = 10.7308 Å, c = 10.7308 Å
α = 90.00°, β = 90.00°, γ = 90.00°
Last column: nearest neighbours and their distance in Å.
Space group P2_13 (No. 198)
Unique sites:
Cs (0.0701, 0.0701, 0.0701) x4  6 Se 3.87-3.98
Cs (0.1798, 0.3202, 0.6798) x4  6 Se 3.59-3.77
Cs (0.1885, 0.6885, 0.8115) x4  6 Se 3.60-3.75
Bi (0.0286, 0.9714, 0.4714) x4  3 Se 2.68
Se (0.0039, 0.2080, 0.3969) x12  1 Bi 2.68

Computed properties:
Theoretical density   4.5 g/cm3
V   44.13 Å³ per atom
Crystal system   cubic
Formation enthalpy at 0 K   -1.132 eV/atom

2.
First-principles (r2SCAN) data for CsBi4Te6 after structural relaxation, as listed in the Materials Project.

a = 4.4311 Å, b = 14.7483 Å, c = 26.2017 Å
α = 79.04°, β = 85.26°, γ = 89.96°
Last column: nearest neighbours and their distance in Å.
Space group P1 (No. 1)
Unique sites:
Cs (0.0000, 0.0000, 0.0000) x1  10 Te 4.09-4.29, 2 Cs 4.43
Cs (0.1107, 0.0230, 0.7821) x1  10 Te 4.09-4.29, 2 Cs 4.43
Cs (0.3704, 0.9982, 0.2648) x1  9 Te 3.82-4.23
Cs (0.7438, 0.0245, 0.5172) x1  9 Te 3.83-4.22
Bi (0.0132, 0.3741, 0.9719) x1  4 Te 3.04-3.34, 1 Bi 3.25
Bi (0.0407, 0.7173, 0.9215) x1  4 Te 3.03-3.38, 1 Bi 3.25
Bi (0.0708, 0.3058, 0.8606) x1  4 Te 3.03-3.37, 1 Bi 3.25
Bi (0.0973, 0.6489, 0.8103) x1  4 Te 3.05-3.34, 1 Bi 3.25
Bi (0.1896, 0.2652, 0.6185) x1  3 Te 2.99-3.05
Bi (0.2181, 0.6020, 0.5642) x1  6 Te 3.06-3.27
Bi (0.3194, 0.2562, 0.3617) x1  4 Te 2.99-3.29
Bi (0.3461, 0.5994, 0.3164) x1  6 Te 3.10-3.24
Bi (0.4391, 0.2361, 0.1210) x1  4 Te 2.98-3.32
Bi (0.4672, 0.5711, 0.0699) x1  5 Te 3.01-3.23
Bi (0.6452, 0.4515, 0.7122) x1  5 Te 3.01-3.23
Bi (0.6730, 0.7867, 0.6612) x1  4 Te 2.99-3.33
Bi (0.7706, 0.4236, 0.4654) x1  6 Te 3.10-3.24
Bi (0.7960, 0.7664, 0.4202) x1  4 Te 2.99-3.29
Bi (0.8965, 0.4211, 0.2176) x1  6 Te 3.06-3.27
Bi (0.9249, 0.7580, 0.1636) x1  3 Te 2.99-3.05
Te (0.1365, 0.3023, 0.7294) x1  3 Bi 3.05-3.10
Te (0.1607, 0.6117, 0.6803) x1  5 Bi 3.06-3.38
Te (0.1810, 0.9264, 0.6436) x1  2 Bi 3.00
Te (0.2586, 0.2728, 0.4854) x1  4 Bi 3.10-3.45
Te (0.2818, 0.5864, 0.4408) x1  6 Bi 3.22-3.43
Te (0.2985, 0.9050, 0.4118) x1  2 Bi 2.99-3.00
Te (0.3821, 0.2737, 0.2423) x1  4 Bi 3.08-3.32
Te (0.4037, 0.5826, 0.1995) x1  6 Bi 3.11-3.42
Te (0.4362, 0.8957, 0.1374) x1  2 Bi 2.99-3.00
Te (0.4936, 0.2335, 0.0070) x1  3 Bi 2.98-3.06
Te (0.5182, 0.5459, 0.9584) x1  4 Bi 3.01-3.35
Te (0.5464, 0.8601, 0.9071) x1  2 Bi 3.03
Te (0.5641, 0.1629, 0.8749) x1  2 Bi 3.03
Te (0.5908, 0.4769, 0.8237) x1  4 Bi 3.01-3.35
Te (0.6163, 0.7897, 0.7752) x1  3 Bi 2.99-3.06
Te (0.6785, 0.1276, 0.6444) x1  2 Bi 2.99-3.00
Te (0.7106, 0.4408, 0.5824) x1  6 Bi 3.11-3.42
Te (0.7324, 0.7492, 0.5395) x1  4 Bi 3.08-3.33
Te (0.8173, 0.1173, 0.3698) x1  2 Bi 2.99-3.00
Te (0.8355, 0.4366, 0.3409) x1  6 Bi 3.22-3.44
Te (0.8584, 0.7503, 0.2964) x1  4 Bi 3.10-3.45
Te (0.9317, 0.0966, 0.1384) x1  2 Bi 3.00
Te (0.9526, 0.4110, 0.1016) x1  5 Bi 3.06-3.38
Te (0.9768, 0.7201, 0.0527) x1  3 Bi 3.05-3.10

Computed properties:
Theoretical density   6.9 g/cm3
V   38.07 Å³ per atom
Crystal system   triclinic
Formation enthalpy at 0 K   -0.438 eV/atom

3.
First-principles (r2SCAN) data for Gd5CuBi3 after structural relaxation, as listed in the Materials Project.

a = 6.4876 Å, b = 16.3167 Å, c = 9.3913 Å
α = 90.00°, β = 90.00°, γ = 90.00°
Last column: nearest neighbours and their distance in Å.
Space group Amm2 (No. 38)
Unique sites:
Gd (0.0000, 0.0000, 0.0000) x2  2 Cu 2.87, 2 Bi 3.21
Gd (0.0000, 0.1250, 0.3735) x4  2 Cu 2.85
Gd (0.2506, 0.1662, 0.7486) x8  2 Gd 3.24-3.25, 6 Bi 3.32-3.34
Gd (0.5000, 0.0000, 0.5055) x2  2 Cu 2.88, 2 Bi 3.22
Gd (0.5000, 0.1255, 0.1254) x4  2 Cu 2.86, 2 Bi 3.19
Cu (0.2515, 0.0000, 0.2516) x4  6 Gd 2.85-2.88
Bi (0.0000, 0.0000, 0.6378) x2  9 Gd 3.21-3.47
Bi (0.0000, 0.1944, 0.0544) x4  9 Gd 3.20-3.50
Bi (0.5000, 0.0000, 0.8650) x2  9 Gd 3.19-3.48
Bi (0.5000, 0.1941, 0.4432) x4  9 Gd 3.19-3.50

Computed properties:
Theoretical density   9.9 g/cm3
V   27.61 Å³ per atom
Crystal system   orthorhombic
Formation enthalpy at 0 K   -0.746 eV/atom

4.
First-principles (r2SCAN) data for Nd3Cu3Bi4 after structural relaxation, as listed in the Materials Project.

a = 9.9581 Å, b = 9.9581 Å, c = 9.9581 Å
α = 90.00°, β = 90.00°, γ = 90.00°
Last column: nearest neighbours and their distance in Å.
Space group I-43d (No. 220)
Unique sites:
Nd (0.0000, 0.2500, 0.8750) x12  4 Cu 3.05
Cu (0.0000, 0.2500, 0.3750) x12  4 Bi 2.77, 4 Nd 3.05
Bi (0.0808, 0.4192, 0.5808) x16  3 Cu 2.77

Computed properties:
Theoretical density   9.8 g/cm3
V   24.69 Å³ per atom
Crystal system   cubic
Formation enthalpy at 0 K   -0.672 eV/atom